DFT (PBE-GGA) results for a relaxed structure of Ca4SeN4.

Unit cell a=6.3541 b=6.3201 c=8.9158 alpha=82.77 beta=69.68 gamma=71.08
Positions (direct):
N: 0.5620 0.7414 0.3973
N: 0.4380 0.2586 0.6027
N: 0.0488 0.2446 0.4105
N: 0.0171 0.8262 0.8813
N: 0.2711 0.4524 0.1185
N: 0.9829 0.1738 0.1187
N: 0.9512 0.7554 0.5895
N: 0.7289 0.5476 0.8815
Ca: 0.2367 0.9853 0.5752
Ca: 0.1763 0.4014 0.8368
Ca: 0.7051 0.2071 0.0000
Ca: 0.7094 0.4914 0.5777
Ca: 0.2906 0.5086 0.4223
Ca: 0.2949 0.7929 0.0000
Ca: 0.7633 0.0147 0.4248
Ca: 0.8237 0.5986 0.1632
Se: 0.7988 0.8067 0.7959
Se: 0.2012 0.1933 0.2041

Properties
* SG: P-1
* raw total energy: -5.537 eV per atom

DFT (PBE-GGA) results for a relaxed structure of ErSi2Ni.

Unit cell a=3.9425 b=3.9505 c=8.4928 alpha=76.55 beta=90.00 gamma=90.00
Positions (direct):
Si: 0.7500 0.2508 0.4985
Si: 0.7500 0.5398 0.9205
Si: 0.2500 0.4602 0.0795
Si: 0.2500 0.7492 0.5015
Ni: 0.7500 0.6761 0.6478
Ni: 0.2500 0.3239 0.3522
Er: 0.2500 0.1054 0.7892
Er: 0.7500 0.8946 0.2108

Properties
* SG: Cmcm
* raw total energy: -6.124 eV per atom

DFT (PBE-GGA) results for a relaxed structure of K7Fe4Te8.

Unit cell a=8.7966 b=17.2350 c=17.3644 alpha=90.00 beta=90.00 gamma=90.00
Positions (direct):
Fe: 0.8250 0.3046 0.0503
Fe: 0.6159 0.2002 0.0543
Fe: 0.3250 0.3046 0.4497
Fe: 0.3250 0.1954 0.5503
Fe: 0.6750 0.6954 0.5503
Fe: 0.1159 0.2998 0.5543
Fe: 0.3841 0.7002 0.0543
Fe: 0.1159 0.2002 0.4457
Fe: 0.8250 0.1954 0.9497
Fe: 0.8841 0.7998 0.5543
Fe: 0.6159 0.2998 0.9457
Fe: 0.1750 0.8046 0.0503
Fe: 0.6750 0.8046 0.4497
Fe: 0.3841 0.7998 0.9457
Fe: 0.1750 0.6954 0.9497
Fe: 0.8841 0.7002 0.4457
K: 0.8194 0.7496 0.2413
K: 0.7433 0.0108 0.4902
K: 0.2433 0.0108 0.0098
K: 0.2962 0.5008 0.2338
K: 0.2038 0.4992 0.7338
K: 0.2567 0.9892 0.5098
K: 0.2790 0.7500 0.5000
K: 0.3194 0.7496 0.2587
K: 0.1806 0.2496 0.2413
K: 0.8194 0.7504 0.7587
K: 0.2433 0.4892 0.9902
K: 0.7962 0.9992 0.7338
K: 0.2962 0.9992 0.7662
K: 0.6806 0.2504 0.7413
K: 0.2038 0.0008 0.2662
K: 0.7038 0.4992 0.7662
K: 0.1806 0.2504 0.7587
K: 0.7790 0.7500 0.0000
K: 0.3194 0.7504 0.7413
K: 0.2567 0.5108 0.4902
K: 0.7210 0.2500 0.5000
K: 0.7962 0.5008 0.2662
K: 0.6806 0.2496 0.2587
K: 0.7567 0.9892 0.9902
K: 0.7433 0.4892 0.5098
K: 0.7038 0.0008 0.2338
K: 0.7567 0.5108 0.0098
K: 0.2210 0.2500 0.0000
Te: 0.9354 0.3761 0.6444
Te: 0.0078 0.3930 0.1284
Te: 0.3934 0.3373 0.5936
Te: 0.4922 0.6070 0.6284
Te: 0.5078 0.1070 0.6284
Te: 0.6066 0.6627 0.4064
Te: 0.0078 0.1070 0.8716
Te: 0.9539 0.8457 0.4142
Te: 0.5078 0.3930 0.3716
Te: 0.9922 0.6070 0.8716
Te: 0.4539 0.6543 0.9142
Te: 0.9354 0.1239 0.3556
Te: 0.6066 0.8373 0.5936
Te: 0.8934 0.3373 0.9064
Te: 0.1066 0.8373 0.9064
Te: 0.4354 0.3761 0.8556
Te: 0.5646 0.8761 0.8556
Te: 0.4922 0.8930 0.3716
Te: 0.0646 0.8761 0.6444
Te: 0.8934 0.1627 0.0936
Te: 0.5646 0.6239 0.1444
Te: 0.5461 0.1543 0.9142
Te: 0.4354 0.1239 0.1444
Te: 0.0461 0.3457 0.4142
Te: 0.0646 0.6239 0.3556
Te: 0.3934 0.1627 0.4064
Te: 0.0461 0.1543 0.5858
Te: 0.9922 0.8930 0.1284
Te: 0.9539 0.6543 0.5858
Te: 0.4539 0.8457 0.0858
Te: 0.5461 0.3457 0.0858
Te: 0.1066 0.6627 0.0936

Properties
* SG: Pbcn
* raw total energy: -4.144 eV per atom

DFT (PBE-GGA) results for a relaxed structure of Lu2Al9Rh3.

Unit cell a=7.5231 b=7.5231 c=9.4124 alpha=90.00 beta=90.00 gamma=119.56
Positions (direct):
Al: 0.8749 0.8749 0.7500
Al: 0.3346 0.0004 0.0744
Al: 0.5485 0.3376 0.2500
Al: 0.6670 0.6670 0.4451
Al: 0.9996 0.6654 0.5744
Al: 0.0004 0.3346 0.4256
Al: 0.3330 0.3330 0.5549
Al: 0.3330 0.3330 0.9451
Al: 0.6670 0.6670 0.0549
Al: 0.6654 0.9996 0.5744
Al: 0.9996 0.6654 0.9256
Al: 0.4515 0.6624 0.7500
Al: 0.6624 0.4515 0.7500
Al: 0.6654 0.9996 0.9256
Al: 0.0004 0.3346 0.0744
Al: 0.3376 0.5485 0.2500
Al: 0.3346 0.0004 0.4256
Al: 0.1251 0.1251 0.2500
Rh: 0.0000 0.0000 0.5000
Rh: 0.3277 0.6723 0.0000
Rh: 0.6723 0.3277 0.0000
Rh: 0.0000 0.0000 0.0000
Rh: 0.6723 0.3277 0.5000
Rh: 0.3277 0.6723 0.5000
Lu: 0.0045 0.3306 0.7500
Lu: 0.6694 0.9955 0.2500
Lu: 0.9955 0.6694 0.2500
Lu: 0.3306 0.0045 0.7500

Properties
* SG: Cmcm
* raw total energy: -5.440 eV per atom

DFT (PBE-GGA) results for a relaxed structure of Nb2CuO6.

Unit cell a=14.3559 b=5.0573 c=5.8744 alpha=87.76 beta=90.00 gamma=90.00
Positions (direct):
O: 0.5983 0.5551 0.5743
O: 0.4039 0.9340 0.6394
O: 0.7552 0.9014 0.0922
O: 0.7448 0.9014 0.5922
O: 0.2539 0.5978 0.6495
O: 0.7539 0.4022 0.8505
O: 0.2448 0.0986 0.9078
O: 0.5781 0.0560 0.8444
O: 0.4219 0.9440 0.1556
O: 0.9017 0.5551 0.0743
O: 0.2552 0.0986 0.4078
O: 0.4238 0.4280 0.9012
O: 0.0983 0.4449 0.9257
O: 0.0781 0.9440 0.6556
O: 0.5762 0.5720 0.0988
O: 0.5961 0.0660 0.3606
O: 0.0961 0.9340 0.1394
O: 0.9219 0.0560 0.3444
O: 0.9039 0.0660 0.8606
O: 0.7461 0.4022 0.3505
O: 0.0762 0.4280 0.4012
O: 0.4017 0.4449 0.4257
O: 0.9238 0.5720 0.5988
O: 0.2461 0.5978 0.1495
Cu: 0.9984 0.2509 0.6547
Cu: 0.5016 0.2509 0.1547
Cu: 0.4984 0.7491 0.8453
Cu: 0.0016 0.7491 0.3453
Nb: 0.8418 0.7387 0.7961
Nb: 0.3380 0.7684 0.3439
Nb: 0.1582 0.2613 0.2039
Nb: 0.6582 0.7387 0.2961
Nb: 0.1620 0.7684 0.8439
Nb: 0.8380 0.2316 0.1561
Nb: 0.3418 0.2613 0.7039
Nb: 0.6620 0.2316 0.6561

Properties
* SG: P2_1/c
* raw total energy: -8.070 eV per atom

DFT (PBE-GGA) results for a relaxed structure of LiTi4O8.

Unit cell a=3.8273 b=6.4934 c=6.6050 alpha=107.05 beta=73.16 gamma=90.00
Positions (direct):
Ti: 0.7106 0.7074 0.5939
Ti: 0.3044 0.2926 0.4061
Ti: 0.4104 0.6891 0.2023
Ti: 0.6127 0.3109 0.7977
O: 0.7663 0.3486 0.4728
O: 0.4305 0.3437 0.1101
O: 0.8654 0.6882 0.2687
O: 0.3548 0.0014 0.2819
O: 0.6368 0.9986 0.7181
O: 0.2390 0.6514 0.5272
O: 0.5406 0.6563 0.8899
O: 0.1340 0.3118 0.7313
Li: 0.3244 0.0000 0.0000

Properties
* SG: C2
* raw total energy: -8.517 eV per atom